(1)
Computed, not measured: an optimized crystal structure of K3B3O10 at the PBE level of DFT.

Unit cell a=8.480 b=13.944 c=8.829 alpha=90.00 beta=90.00 gamma=90.00
Sites, in units of the cell vectors:
K1 0.002 0.207 0.000
K2 0.031 0.788 0.050
K3 0.034 0.507 0.541
K4 0.466 0.007 0.041
K5 0.469 0.288 0.550
K6 0.498 0.707 0.500
K7 0.502 0.293 0.000
K8 0.531 0.712 0.050
K9 0.534 0.993 0.541
K10 0.966 0.493 0.041
K11 0.969 0.212 0.550
K12 0.998 0.793 0.500
B1 0.028 0.004 0.277
B2 0.226 0.086 0.746
B3 0.233 0.403 0.802
B4 0.267 0.903 0.302
B5 0.274 0.586 0.246
B6 0.472 0.504 0.777
B7 0.528 0.496 0.277
B8 0.726 0.414 0.746
B9 0.733 0.097 0.802
B10 0.767 0.597 0.302
B11 0.774 0.914 0.246
B12 0.972 0.996 0.777
O1 0.039 0.908 0.781
O2 0.054 0.082 0.765
O3 0.183 0.354 0.679
O4 0.190 0.275 0.295
O5 0.193 0.650 0.349
O6 0.193 0.994 0.286
O7 0.195 0.494 0.266
O8 0.200 0.364 0.939
O9 0.210 0.717 0.750
O10 0.215 0.626 0.106
O11 0.285 0.126 0.606
O12 0.290 0.217 0.250
O13 0.300 0.864 0.439
O14 0.305 0.994 0.766
O15 0.307 0.150 0.849
O16 0.307 0.494 0.786
O17 0.310 0.775 0.795
O18 0.317 0.854 0.179
O19 0.446 0.582 0.265
O20 0.461 0.408 0.281
O21 0.539 0.592 0.781
O22 0.554 0.418 0.765
O23 0.683 0.146 0.679
O24 0.690 0.225 0.295
O25 0.693 0.506 0.286
O26 0.693 0.850 0.349
O27 0.695 0.006 0.266
O28 0.700 0.136 0.939
O29 0.710 0.783 0.750
O30 0.715 0.874 0.106
O31 0.785 0.374 0.606
O32 0.790 0.283 0.250
O33 0.800 0.636 0.439
O34 0.805 0.506 0.766
O35 0.807 0.006 0.786
O36 0.807 0.350 0.849
O37 0.810 0.725 0.795
O38 0.817 0.646 0.179
O39 0.946 0.918 0.265
O40 0.961 0.092 0.281

Computed properties:
As for the space group: Pna2_1. The calculation puts the calculated density at 1.97 g/cm3. The excess energy over the best structure of this formula in the dataset comes out at 99 meV per atom. For the energy of formation, the calculation gives -1573 meV/atom.

(2)
Computed, not measured: an optimized crystal structure of NaMg30BO31 at the PBE level of DFT.

Unit cell a=8.433 b=8.667 c=8.555 alpha=90.00 beta=90.00 gamma=90.00
Sites, in units of the cell vectors:
Na1 0.000 0.000 0.000
Mg1 0.000 0.000 0.490
Mg2 0.000 0.249 0.744
Mg3 0.000 0.252 0.238
Mg4 0.000 0.500 0.491
Mg5 0.000 0.500 0.991
Mg6 0.000 0.748 0.238
Mg7 0.000 0.751 0.744
Mg8 0.244 0.000 0.739
Mg9 0.248 0.500 0.741
Mg10 0.250 0.250 0.491
Mg11 0.250 0.750 0.491
Mg12 0.251 0.500 0.242
Mg13 0.256 0.257 0.991
Mg14 0.256 0.743 0.991
Mg15 0.265 0.000 0.245
Mg16 0.500 0.000 0.496
Mg17 0.500 0.244 0.237
Mg18 0.500 0.262 0.743
Mg19 0.500 0.500 0.489
Mg20 0.500 0.500 0.994
Mg21 0.500 0.738 0.743
Mg22 0.500 0.756 0.237
Mg23 0.735 0.000 0.245
Mg24 0.744 0.257 0.991
Mg25 0.744 0.743 0.991
Mg26 0.749 0.500 0.242
Mg27 0.750 0.250 0.491
Mg28 0.750 0.750 0.491
Mg29 0.752 0.500 0.741
Mg30 0.756 0.000 0.739
B1 0.500 0.000 0.928
O1 0.000 0.000 0.736
O2 0.000 0.251 0.491
O3 0.000 0.258 0.991
O4 0.000 0.500 0.243
O5 0.000 0.500 0.739
O6 0.000 0.742 0.991
O7 0.000 0.749 0.491
O8 0.249 0.500 0.991
O9 0.250 0.247 0.743
O10 0.250 0.500 0.491
O11 0.250 0.753 0.743
O12 0.251 0.000 0.497
O13 0.252 0.248 0.239
O14 0.252 0.752 0.239
O15 0.338 0.000 0.983
O16 0.500 0.000 0.267
O17 0.500 0.000 0.756
O18 0.500 0.250 0.497
O19 0.500 0.269 0.988
O20 0.500 0.500 0.245
O21 0.500 0.500 0.737
O22 0.500 0.731 0.988
O23 0.500 0.750 0.497
O24 0.662 0.000 0.983
O25 0.748 0.248 0.239
O26 0.748 0.752 0.239
O27 0.749 0.000 0.497
O28 0.750 0.247 0.743
O29 0.750 0.500 0.491
O30 0.750 0.753 0.743
O31 0.751 0.500 0.991

Computed properties:
As for the space group: Pmm2. The calculation puts the calculated density at 3.34 g/cm3. The excess energy over the best structure of this formula in the dataset comes out at 0 meV per atom. For the energy of formation, the calculation gives -2904 meV/atom.

(3)
Computed, not measured: an optimized crystal structure of UTc3 at the PBE level of DFT.

Unit cell a=6.001 b=6.001 c=4.253 alpha=90.00 beta=90.00 gamma=120.00
Sites, in units of the cell vectors:
U1 0.333 0.667 0.250
U2 0.667 0.333 0.750
Tc1 0.171 0.343 0.750
Tc2 0.171 0.829 0.750
Tc3 0.343 0.171 0.250
Tc4 0.657 0.829 0.750
Tc5 0.829 0.171 0.250
Tc6 0.829 0.657 0.250

Computed properties:
As for the space group: P6_3/mmc. The calculation puts the calculated density at 13.32 g/cm3. For the energy of formation, the calculation gives 38 meV/atom.

(4)
Computed, not measured: an optimized crystal structure of K4UC3O11 at the PBE level of DFT.

Unit cell a=7.020 b=7.020 c=12.453 alpha=93.37 beta=93.37 gamma=83.54
Sites, in units of the cell vectors:
K1 0.075 0.713 0.957
K2 0.166 0.467 0.657
K3 0.287 0.925 0.543
K4 0.467 0.166 0.157
K5 0.533 0.834 0.843
K6 0.713 0.075 0.457
K7 0.834 0.533 0.343
K8 0.925 0.287 0.043
U1 0.300 0.700 0.250
U2 0.700 0.300 0.750
C1 0.010 0.990 0.750
C2 0.332 0.419 0.414
C3 0.419 0.332 0.914
C4 0.581 0.668 0.086
C5 0.668 0.581 0.586
C6 0.990 0.010 0.250
O1 0.024 0.891 0.329
O2 0.109 0.976 0.171
O3 0.136 0.541 0.179
O4 0.146 0.854 0.750
O5 0.213 0.579 0.420
O6 0.282 0.326 0.974
O7 0.326 0.282 0.474
O8 0.416 0.455 0.837
O9 0.421 0.787 0.080
O10 0.455 0.416 0.337
O11 0.459 0.864 0.321
O12 0.541 0.136 0.679
O13 0.545 0.584 0.663
O14 0.579 0.213 0.920
O15 0.584 0.545 0.163
O16 0.674 0.718 0.526
O17 0.718 0.674 0.026
O18 0.787 0.421 0.580
O19 0.854 0.146 0.250
O20 0.864 0.459 0.821
O21 0.891 0.024 0.829
O22 0.976 0.109 0.671

Computed properties:
As for the space group: C2/c. The calculation puts the calculated density at 3.31 g/cm3. For the energy of formation, the calculation gives -2468 meV/atom.

(5)
Computed, not measured: an optimized crystal structure of Rb2TaCuSe4 at the PBE level of DFT.

Unit cell a=14.490 b=12.934 c=7.714 alpha=85.16 beta=62.80 gamma=32.04
Sites, in units of the cell vectors:
Rb1 0.054 0.054 0.696
Rb2 0.304 0.304 0.946
Rb3 0.696 0.696 0.054
Rb4 0.946 0.946 0.304
Ta1 0.125 0.125 0.125
Ta2 0.875 0.875 0.875
Cu1 0.375 0.375 0.375
Cu2 0.625 0.625 0.625
Se1 0.035 0.326 0.412
Se2 0.272 0.588 0.674
Se3 0.326 0.035 0.728
Se4 0.412 0.728 0.035
Se5 0.588 0.272 0.965
Se6 0.674 0.965 0.272
Se7 0.728 0.412 0.326
Se8 0.965 0.674 0.588

Computed properties:
As for the space group: Fddd. The calculation puts the calculated density at 4.65 g/cm3. The excess energy over the best structure of this formula in the dataset comes out at 0 meV per atom. For the energy of formation, the calculation gives -1205 meV/atom.

(6)
Computed, not measured: an optimized crystal structure of TiS2 at the PBE level of DFT.

Unit cell a=3.417 b=3.417 c=6.419 alpha=90.00 beta=90.00 gamma=120.00
Sites, in units of the cell vectors:
Ti1 0.000 0.000 0.000
S1 0.333 0.667 0.221
S2 0.667 0.333 0.779

Computed properties:
As for the space group: P-3m1. The calculation puts the calculated density at 2.87 g/cm3. For the energy of formation, the calculation gives -1608 meV/atom.